Record 1
VASP calculation (GGA-PBE) on a relaxed LiCa4 crystal.

Values from the calculation:
E_tot, eV/cell: -66.9

Unit cell a=11.766 b=11.766 c=11.766 alpha=90.00 beta=90.00 gamma=90.00
Space group Fd-3m (No. 227, origin choice 2)
Unique sites:
Li (0.125, 0.125, 0.125) x8
Ca (0.015, 0.015, 0.735) x32

***

Record 2
VASP calculation (GGA-PBE) on a relaxed HfO2 crystal.

Values from the calculation:
E_tot, eV/cell: -244.1

Unit cell a=5.184 b=5.297 c=10.169 alpha=90.00 beta=90.00 gamma=90.00
Space group Pbca (No. 61)
Unique sites:
Hf (0.041, 0.157, 0.138) x8
O (0.168, 0.668, 0.534) x8
O (0.249, 0.587, 0.776) x8

***

Record 3
VASP calculation (GGA-PBE) on a relaxed TiSi2 crystal.

Values from the calculation:
E_tot, eV/cell: -81.7

Unit cell a=3.559 b=13.498 c=3.572 alpha=90.00 beta=90.00 gamma=90.00
Space group Cmcm (No. 63)
Unique sites:
Ti (0.000, 0.103, 0.250) x4
Si (0.000, 0.250, 0.750) x4
Si (0.000, 0.440, 0.250) x4

***

Record 4
VASP calculation (GGA-PBE) on a relaxed Na4Sn2C4SO16 crystal.

Values from the calculation:
Polymorph energy (0 for the lowest one), kJ/mol of atoms: 0.0
E_tot, eV/cell: -349.2

Unit cell a=9.913 b=10.061 c=10.144 alpha=90.28 beta=119.11 gamma=117.60
Space group P1 (No. 1)
Unique sites:
Na (0.000, 0.000, 0.000) x1
Na (0.001, 0.409, 0.591) x1
Na (0.006, 0.414, 0.998) x1
Na (0.410, 0.418, 0.998) x1
Na (0.497, 0.140, 0.249) x1
Na (0.503, 0.152, 0.839) x1
Na (0.506, 0.764, 0.841) x1
Na (0.983, 0.997, 0.579) x1
Sn (0.244, 0.073, 0.418) x1
Sn (0.249, 0.580, 0.417) x1
Sn (0.746, 0.579, 0.418) x1
Sn (0.762, 0.587, 0.916) x1
C (0.174, 0.783, 0.578) x1
C (0.185, 0.786, 0.197) x1
C (0.305, 0.371, 0.645) x1
C (0.316, 0.367, 0.258) x1
C (0.679, 0.737, 0.629) x1
C (0.685, 0.352, 0.622) x1
C (0.805, 0.794, 0.209) x1
C (0.816, 0.421, 0.211) x1
S (0.005, 0.208, 0.798) x1
S (0.501, 0.955, 0.043) x1
O (0.023, 0.761, 0.558) x1
O (0.065, 0.664, 0.074) x1
O (0.119, 0.386, 0.854) x1
O (0.131, 0.148, 0.858) x1
O (0.187, 0.659, 0.564) x1
O (0.194, 0.228, 0.227) x1
O (0.200, 0.389, 0.509) x1
O (0.206, 0.921, 0.194) x1
O (0.286, 0.235, 0.639) x1
O (0.291, 0.774, 0.335) x1
O (0.299, 0.488, 0.271) x1
O (0.303, 0.921, 0.613) x1
O (0.385, 0.025, 0.987) x1
O (0.386, 0.780, 0.980) x1
O (0.415, 0.484, 0.774) x1
O (0.466, 0.395, 0.267) x1
O (0.524, 0.710, 0.606) x1
O (0.562, 0.232, 0.500) x1
O (0.616, 0.009, 0.218) x1
O (0.619, 0.013, 0.977) x1
O (0.685, 0.391, 0.074) x1
O (0.689, 0.723, 0.506) x1
O (0.696, 0.656, 0.219) x1
O (0.712, 0.356, 0.759) x1
O (0.786, 0.792, 0.074) x1
O (0.799, 0.486, 0.609) x1
O (0.806, 0.430, 0.336) x1
O (0.813, 0.779, 0.769) x1
O (0.890, 0.153, 0.864) x1
O (0.894, 0.157, 0.622) x1
O (0.920, 0.914, 0.329) x1
O (0.967, 0.442, 0.232) x1

***

Record 5
VASP calculation (GGA-PBE) on a relaxed Nd6ZnFe13 crystal.

Values from the calculation:
E_tot, eV/cell: -561.3

Unit cell a=8.047 b=8.047 c=22.786 alpha=90.00 beta=90.00 gamma=90.00
Space group I4/mcm (No. 140)
Unique sites:
Nd (0.000, 0.000, 0.108) x8
Nd (0.163, 0.337, 0.188) x16
Zn (0.000, 0.000, 0.250) x4
Fe (0.000, 0.500, 0.000) x4
Fe (0.067, 0.210, 0.500) x16
Fe (0.114, 0.386, 0.404) x16
Fe (0.178, 0.322, 0.060) x16

***

Record 6
VASP calculation (GGA-PBE) on a relaxed Sm3GaNiS7 crystal.

Values from the calculation:
E_tot, eV/cell: -139.2

Unit cell a=9.7487 b=9.7487 c=6.1865 alpha=90.00 beta=90.00 gamma=120.00
Space group P6_3 (No. 173)
Unique sites:
Sm (0.1545, 0.3742, 0.0000) x6
Ga (0.3333, 0.6667, 0.5736) x2
Ni (0.0000, 0.0000, 0.1844) x2
S (0.0880, 0.5675, 0.7271) x6
S (0.0966, 0.2282, 0.4195) x6
S (0.3333, 0.6667, 0.2089) x2

***

Q: The highest E_tot belongs to which entry?
A: LiCa4